Entry 1:
# CaCoGe2O6 (PBE+U, relaxed)
data_CaCoGe2O6
_cell_length_a 9.113
_cell_length_b 5.342
_cell_length_c 10.364
_cell_angle_alpha 75.07
_cell_angle_beta 90.00
_cell_angle_gamma 90.00
_symmetry_space_group_name_H-M 'P 1'
_symmetry_Int_Tables_number 1
loop_
_symmetry_equiv_pos_as_xyz
'x,y,z'
loop_
_atom_site_label
_atom_site_type_symbol
_atom_site_fract_x
_atom_site_fract_y
_atom_site_fract_z
Ca1 Ca 0.548 0.193 0.276
Ca2 Ca 0.048 0.307 0.724
Ca3 Ca 0.452 0.807 0.724
Ca4 Ca 0.952 0.693 0.276
Co1 Co 0.336 0.728 0.234
Co2 Co 0.836 0.772 0.766
Co3 Co 0.664 0.272 0.766
Co4 Co 0.164 0.228 0.234
Ge1 Ge 0.652 0.781 0.045
Ge2 Ge 0.152 0.719 0.955
Ge3 Ge 0.348 0.219 0.955
Ge4 Ge 0.848 0.281 0.045
Ge5 Ge 0.649 0.608 0.487
Ge6 Ge 0.149 0.892 0.513
Ge7 Ge 0.351 0.392 0.513
Ge8 Ge 0.851 0.108 0.487
O1 O 0.754 0.914 0.395
O2 O 0.254 0.586 0.605
O3 O 0.246 0.086 0.605
O4 O 0.746 0.414 0.395
O5 O 0.691 0.068 0.103
O6 O 0.191 0.432 0.897
O7 O 0.309 0.932 0.897
O8 O 0.809 0.568 0.103
O9 O 0.025 0.230 0.417
O10 O 0.525 0.270 0.583
O11 O 0.975 0.770 0.583
O12 O 0.475 0.730 0.417
O13 O 0.992 0.121 0.139
O14 O 0.492 0.379 0.861
O15 O 0.008 0.879 0.861
O16 O 0.508 0.621 0.139
O17 O 0.653 0.871 0.869
O18 O 0.153 0.629 0.131
O19 O 0.347 0.129 0.131
O20 O 0.847 0.371 0.869
O21 O 0.673 0.657 0.649
O22 O 0.173 0.843 0.351
O23 O 0.327 0.343 0.351
O24 O 0.827 0.157 0.649
# E: -6.49 eV/atom
# M_tot: 3.00 μB per formula unit
# ΔH_f (0 K): -2.263 eV/atom
# Energy above the lowest structure with this stoichiometry: 0.021 eV/atom

=====

Entry 2:
# CaCoGe2O6 (PBE+U, relaxed)
data_CaCoGe2O6
_cell_length_a 5.507
_cell_length_b 6.856
_cell_length_c 6.857
_cell_angle_alpha 82.69
_cell_angle_beta 78.61
_cell_angle_gamma 78.55
_symmetry_space_group_name_H-M 'P 1'
_symmetry_Int_Tables_number 1
loop_
_symmetry_equiv_pos_as_xyz
'x,y,z'
loop_
_atom_site_label
_atom_site_type_symbol
_atom_site_fract_x
_atom_site_fract_y
_atom_site_fract_z
Ca1 Ca 0.249 0.303 0.697
Ca2 Ca 0.750 0.697 0.303
Co1 Co 0.749 0.090 0.909
Co2 Co 0.250 0.908 0.092
Ge1 Ge 0.225 0.815 0.617
Ge2 Ge 0.275 0.383 0.186
Ge3 Ge 0.774 0.186 0.383
Ge4 Ge 0.726 0.617 0.814
O1 O 0.133 0.984 0.799
O2 O 0.367 0.201 0.016
O3 O 0.864 0.016 0.201
O4 O 0.636 0.799 0.983
O5 O 0.344 0.898 0.373
O6 O 0.156 0.627 0.102
O7 O 0.655 0.102 0.627
O8 O 0.846 0.374 0.898
O9 O 0.983 0.671 0.610
O10 O 0.517 0.389 0.329
O11 O 0.017 0.329 0.389
O12 O 0.483 0.611 0.671
# E: -6.51 eV/atom
# M_tot: 0.00 μB per formula unit
# ΔH_f (0 K): -2.284 eV/atom
# Energy above the lowest structure with this stoichiometry: 0.000 eV/atom

=====

Entry 3:
# Ca3Co2Ge3O12 (PBE+U, relaxed)
data_Ca3Co2Ge3O12
_cell_length_a 10.750
_cell_length_b 10.750
_cell_length_c 10.750
_cell_angle_alpha 109.47
_cell_angle_beta 109.47
_cell_angle_gamma 109.47
_symmetry_space_group_name_H-M 'P 1'
_symmetry_Int_Tables_number 1
loop_
_symmetry_equiv_pos_as_xyz
'x,y,z'
loop_
_atom_site_label
_atom_site_type_symbol
_atom_site_fract_x
_atom_site_fract_y
_atom_site_fract_z
Ca1 Ca 0.250 0.875 0.625
Ca2 Ca 0.750 0.625 0.875
Ca3 Ca 0.625 0.875 0.750
Ca4 Ca 0.875 0.625 0.250
Ca5 Ca 0.625 0.250 0.875
Ca6 Ca 0.875 0.750 0.625
Ca7 Ca 0.750 0.125 0.375
Ca8 Ca 0.250 0.375 0.125
Ca9 Ca 0.375 0.125 0.250
Ca10 Ca 0.125 0.375 0.750
Ca11 Ca 0.375 0.750 0.125
Ca12 Ca 0.125 0.250 0.375
Co1 Co 0.500 0.500 0.500
Co2 Co 0.500 0.000 0.500
Co3 Co 0.000 0.500 0.500
Co4 Co 0.500 0.500 0.000
Co5 Co 0.000 0.000 0.500
Co6 Co 0.000 0.500 0.000
Co7 Co 0.500 0.000 0.000
Co8 Co 0.000 0.000 0.000
Ge1 Ge 0.125 0.750 0.875
Ge2 Ge 0.875 0.250 0.125
Ge3 Ge 0.625 0.375 0.250
Ge4 Ge 0.750 0.875 0.125
Ge5 Ge 0.875 0.125 0.750
Ge6 Ge 0.250 0.625 0.375
Ge7 Ge 0.750 0.375 0.625
Ge8 Ge 0.250 0.125 0.875
Ge9 Ge 0.125 0.875 0.250
Ge10 Ge 0.375 0.625 0.750
Ge11 Ge 0.625 0.750 0.375
Ge12 Ge 0.375 0.250 0.625
O1 O 0.416 0.815 0.798
O2 O 0.882 0.399 0.084
O3 O 0.101 0.982 0.685
O4 O 0.518 0.618 0.702
O5 O 0.685 0.084 0.702
O6 O 0.618 0.702 0.518
O7 O 0.618 0.416 0.101
O8 O 0.702 0.518 0.618
O9 O 0.815 0.518 0.399
O10 O 0.982 0.798 0.882
O11 O 0.798 0.882 0.982
O12 O 0.702 0.685 0.084
O13 O 0.416 0.101 0.618
O14 O 0.399 0.815 0.518
O15 O 0.084 0.702 0.685
O16 O 0.101 0.618 0.416
O17 O 0.518 0.399 0.815
O18 O 0.084 0.882 0.399
O19 O 0.982 0.685 0.101
O20 O 0.185 0.482 0.601
O21 O 0.685 0.101 0.982
O22 O 0.798 0.416 0.815
O23 O 0.399 0.084 0.882
O24 O 0.882 0.982 0.798
O25 O 0.584 0.185 0.202
O26 O 0.118 0.601 0.916
O27 O 0.899 0.018 0.315
O28 O 0.482 0.382 0.298
O29 O 0.315 0.916 0.298
O30 O 0.382 0.298 0.482
O31 O 0.382 0.584 0.899
O32 O 0.298 0.482 0.382
O33 O 0.118 0.018 0.202
O34 O 0.601 0.916 0.118
O35 O 0.202 0.584 0.185
O36 O 0.185 0.202 0.584
O37 O 0.315 0.899 0.018
O38 O 0.018 0.315 0.899
O39 O 0.916 0.118 0.601
O40 O 0.482 0.601 0.185
O41 O 0.899 0.382 0.584
O42 O 0.916 0.298 0.315
O43 O 0.601 0.185 0.482
O44 O 0.584 0.899 0.382
O45 O 0.298 0.315 0.916
O46 O 0.202 0.118 0.018
O47 O 0.018 0.202 0.118
O48 O 0.815 0.798 0.416
# E: -6.45 eV/atom
# M_tot: 0.00 μB per formula unit
# ΔH_f (0 K): -2.349 eV/atom

=====

Entry 4:
# KCa9CoP7O28 (PBE+U, relaxed)
data_KCa9CoP7O28
_cell_length_a 13.823
_cell_length_b 13.823
_cell_length_c 13.823
_cell_angle_alpha 44.75
_cell_angle_beta 44.75
_cell_angle_gamma 44.75
_symmetry_space_group_name_H-M 'P 1'
_symmetry_Int_Tables_number 1
loop_
_symmetry_equiv_pos_as_xyz
'x,y,z'
loop_
_atom_site_label
_atom_site_type_symbol
_atom_site_fract_x
_atom_site_fract_y
_atom_site_fract_z
K1 K 0.314 0.314 0.314
K2 K 0.814 0.814 0.814
Ca1 Ca 0.155 0.553 0.589
Ca2 Ca 0.553 0.589 0.155
Ca3 Ca 0.054 0.437 0.028
Ca4 Ca 0.028 0.054 0.437
Ca5 Ca 0.937 0.554 0.528
Ca6 Ca 0.935 0.338 0.925
Ca7 Ca 0.589 0.155 0.553
Ca8 Ca 0.338 0.925 0.935
Ca9 Ca 0.554 0.528 0.937
Ca10 Ca 0.437 0.028 0.054
Ca11 Ca 0.838 0.435 0.425
Ca12 Ca 0.655 0.089 0.053
Ca13 Ca 0.053 0.655 0.089
Ca14 Ca 0.425 0.838 0.435
Ca15 Ca 0.089 0.053 0.655
Ca16 Ca 0.925 0.935 0.338
Ca17 Ca 0.528 0.937 0.554
Ca18 Ca 0.435 0.425 0.838
Co1 Co 0.998 0.998 0.998
Co2 Co 0.498 0.498 0.498
P1 P 0.310 0.773 0.817
P2 P 0.273 0.810 0.317
P3 P 0.184 0.680 0.223
P4 P 0.684 0.723 0.180
P5 P 0.317 0.273 0.810
P6 P 0.180 0.684 0.723
P7 P 0.730 0.730 0.730
P8 P 0.810 0.317 0.273
P9 P 0.223 0.184 0.680
P10 P 0.723 0.180 0.684
P11 P 0.680 0.223 0.184
P12 P 0.773 0.817 0.310
P13 P 0.817 0.310 0.773
P14 P 0.230 0.230 0.230
O1 O 0.626 0.356 0.622
O2 O 0.311 0.884 0.327
O3 O 0.736 0.102 0.632
O4 O 0.236 0.132 0.602
O5 O 0.608 0.886 0.162
O6 O 0.889 0.609 0.731
O7 O 0.384 0.811 0.827
O8 O 0.356 0.622 0.626
O9 O 0.327 0.865 0.148
O10 O 0.854 0.409 0.100
O11 O 0.609 0.731 0.889
O12 O 0.327 0.311 0.884
O13 O 0.859 0.652 0.115
O14 O 0.632 0.736 0.102
O15 O 0.148 0.327 0.865
O16 O 0.115 0.859 0.652
O17 O 0.652 0.115 0.859
O18 O 0.731 0.889 0.609
O19 O 0.102 0.632 0.736
O20 O 0.884 0.327 0.311
O21 O 0.231 0.109 0.389
O22 O 0.389 0.231 0.109
O23 O 0.188 0.188 0.188
O24 O 0.386 0.359 0.634
O25 O 0.615 0.152 0.359
O26 O 0.132 0.602 0.236
O27 O 0.909 0.354 0.600
O28 O 0.886 0.162 0.608
O29 O 0.162 0.608 0.886
O30 O 0.662 0.386 0.108
O31 O 0.634 0.386 0.359
O32 O 0.886 0.134 0.859
O33 O 0.856 0.126 0.122
O34 O 0.152 0.359 0.615
O35 O 0.688 0.688 0.688
O36 O 0.134 0.859 0.886
O37 O 0.602 0.236 0.132
O38 O 0.100 0.854 0.409
O39 O 0.827 0.648 0.365
O40 O 0.409 0.100 0.854
O41 O 0.648 0.365 0.827
O42 O 0.622 0.626 0.356
O43 O 0.827 0.384 0.811
O44 O 0.386 0.108 0.662
O45 O 0.354 0.600 0.909
O46 O 0.108 0.662 0.386
O47 O 0.859 0.886 0.134
O48 O 0.811 0.827 0.384
O49 O 0.359 0.634 0.386
O50 O 0.865 0.148 0.327
O51 O 0.126 0.122 0.856
O52 O 0.600 0.909 0.354
O53 O 0.365 0.827 0.648
O54 O 0.122 0.856 0.126
O55 O 0.359 0.615 0.152
O56 O 0.109 0.389 0.231
# E: -7.11 eV/atom
# M_tot: 1.00 μB per formula unit
# ΔH_f (0 K): -3.157 eV/atom

=====

What is the formula in the fourth record?
KCa9CoP7O28